# 1
VASP calculation (PBE with a Hubbard U) on Li7V3P8O29 after structural relaxation.

Computed properties:
E above lowest polymorph: 14 meV per atom

Lattice parameters (Å, degrees): 9.8695 9.8695 13.9455 90.35 90.35 60.04
Last column: nearest neighbours and their distance in Å.
Positions (direct):
Li 0.0048 0.9952 0.5000  1 O 1.87
Li 0.0120 0.4270 0.0508  4 O 2.00-2.18
Li 0.1016 0.2458 0.6772  4 O 1.97-2.15
Li 0.1030 0.6580 0.1781  3 O 1.92-2.02
Li 0.2389 0.6700 0.6782  4 O 1.94-2.14
Li 0.2458 0.1016 0.1772  4 O 1.97-2.15
Li 0.3183 0.3875 0.6120  2 O 1.97-2.12
Li 0.3875 0.3183 0.1120  2 O 1.97-2.12
Li 0.4270 0.0120 0.5508  4 O 2.00-2.18
Li 0.6480 0.6759 0.2265  1 O 1.85
Li 0.6580 0.1030 0.6781  3 O 1.92-2.02
Li 0.6700 0.2389 0.1782  4 O 1.94-2.14
Li 0.6759 0.6480 0.7265  1 O 1.85
Li 0.9952 0.0048 0.0000  1 O 1.87
V 0.3328 0.8966 0.3621  6 O 2.02-2.06
V 0.3363 0.7657 0.8704  6 O 1.83-2.02
V 0.7657 0.3363 0.3704  6 O 1.83-2.02
V 0.7664 0.9005 0.8635  6 O 1.86-1.99
V 0.8966 0.3328 0.8621  6 O 2.02-2.06
V 0.9005 0.7664 0.3635  6 O 1.86-1.99
P 0.0046 0.9954 0.7408  4 O 1.51-1.58
P 0.0139 0.4224 0.2735  4 O 1.51-1.60
P 0.0243 0.5586 0.7730  4 O 1.50-1.62
P 0.1040 0.6527 0.9599  4 O 1.51-1.60
P 0.1078 0.2439 0.4599  4 O 1.50-1.63
P 0.2415 0.6528 0.4592  4 O 1.50-1.60
P 0.2439 0.1078 0.9599  4 O 1.50-1.63
P 0.4224 0.0139 0.7735  4 O 1.51-1.60
P 0.4225 0.5518 0.2747  4 O 1.50-1.62
P 0.5518 0.4225 0.7747  4 O 1.50-1.62
P 0.5586 0.0243 0.2730  4 O 1.50-1.62
P 0.6527 0.1040 0.4599  4 O 1.51-1.60
P 0.6528 0.2415 0.9592  4 O 1.50-1.60
P 0.6680 0.6703 0.9871  4 O 1.49-1.60
P 0.6703 0.6680 0.4871  4 O 1.49-1.60
P 0.9954 0.0046 0.2408  4 O 1.51-1.58
O 0.0001 0.8534 0.2792  1 P 1.57
O 0.0057 0.1456 0.7733  1 P 1.55
O 0.0116 0.9771 0.6333  1 P 1.51
O 0.0764 0.6728 0.4427  1 P 1.56
O 0.0815 0.2549 0.9537  1 P 1.54
O 0.0983 0.5718 0.0504  1 P 1.51
O 0.1014 0.3322 0.1851  1 P 1.51
O 0.1079 0.3276 0.5498  1 P 1.50
O 0.1141 0.5397 0.8737  2 P 1.60-1.62
O 0.1161 0.3385 0.3673  2 P 1.60-1.63
O 0.1284 0.5552 0.6943  1 P 1.50
O 0.1456 0.0057 0.2733  1 P 1.55
O 0.1533 0.8498 0.7855  1 P 1.58
O 0.2229 0.8163 0.4480  1 P 1.54
O 0.2240 0.9614 0.9464  1 P 1.56
O 0.2479 0.6722 0.9553  1 P 1.53
O 0.2549 0.0815 0.4537  1 P 1.54
O 0.3113 0.5713 0.5521  1 P 1.50
O 0.3262 0.5394 0.1948  1 P 1.50
O 0.3276 0.1079 0.0498  1 P 1.50
O 0.3322 0.1014 0.6851  1 P 1.51
O 0.3385 0.1161 0.8673  2 P 1.60-1.63
O 0.3482 0.5401 0.3752  2 P 1.60-1.62
O 0.4092 0.5894 0.7753  1 P 1.54
O 0.4198 0.9951 0.2690  1 P 1.53
O 0.4369 0.7008 0.2791  1 P 1.55
O 0.4393 0.8505 0.7839  1 P 1.54
O 0.5161 0.6763 0.9421  1 P 1.60
O 0.5178 0.8136 0.4528  1 P 1.55
O 0.5394 0.3262 0.6948  1 P 1.50
O 0.5397 0.1141 0.3737  2 P 1.60-1.62
O 0.5401 0.3482 0.8752  2 P 1.60-1.62
O 0.5552 0.1284 0.1943  1 P 1.50
O 0.5713 0.3113 0.0521  1 P 1.50
O 0.5718 0.0983 0.5504  1 P 1.51
O 0.5894 0.4092 0.2753  1 P 1.54
O 0.5885 0.9948 0.7716  1 P 1.55
O 0.6579 0.6813 0.0939  1 P 1.49
O 0.6722 0.2479 0.4553  1 P 1.53
O 0.6720 0.8095 0.9384  1 P 1.55
O 0.6728 0.0764 0.9427  1 P 1.56
O 0.6763 0.5161 0.4421  1 P 1.60
O 0.6813 0.6579 0.5939  1 P 1.49
O 0.7008 0.4369 0.7791  1 P 1.55
O 0.7110 0.8622 0.2822  1 P 1.56
O 0.8095 0.6720 0.4384  1 P 1.55
O 0.8136 0.5178 0.9528  1 P 1.55
O 0.8163 0.2229 0.9480  1 P 1.54
O 0.8157 0.9571 0.4448  1 P 1.55
O 0.8498 0.1533 0.2855  1 P 1.58
O 0.8505 0.4393 0.2839  1 P 1.54
O 0.8534 0.0001 0.7792  1 P 1.57
O 0.8622 0.7110 0.7822  1 P 1.56
O 0.9571 0.8157 0.9448  1 P 1.55
O 0.9614 0.2240 0.4464  1 P 1.56
O 0.9771 0.0116 0.1333  1 P 1.51
O 0.9951 0.4198 0.7690  1 P 1.53
O 0.9948 0.5885 0.2716  1 P 1.55


# 2
VASP calculation (PBE with a Hubbard U) on Li5V3P8O29 after structural relaxation.

Computed properties:
E above lowest polymorph: 7 meV per atom

Lattice parameters (Å, degrees): 9.7966 9.8051 13.9057 89.90 89.85 60.07
Last column: nearest neighbours and their distance in Å.
Positions (direct):
Li 0.0000 0.0000 0.0000  3 O 1.94-2.07
Li 0.0009 0.5862 0.5026  3 O 1.92-2.01
Li 0.1333 0.9968 0.5007  3 O 1.87-2.03
Li 0.1361 0.4501 0.9997  3 O 1.96-2.08
Li 0.3188 0.3621 0.3832  3 O 1.88-2.09
Li 0.3232 0.9049 0.8801  3 O 1.87-2.04
Li 0.4540 0.7640 0.3808  3 O 1.87-2.03
Li 0.4592 0.3583 0.8779  3 O 1.91-2.00
Li 0.5652 0.0106 0.5588  2 O 1.91-2.13
Li 0.9028 0.7741 0.8785  4 O 1.94-2.16
V 0.2264 0.1114 0.6908  6 O 1.89-2.01
V 0.2277 0.2462 0.1906  6 O 1.88-1.98
V 0.6626 0.2490 0.6871  6 O 1.87-2.00
V 0.6641 0.6709 0.1860  6 O 1.82-2.03
V 0.7906 0.1107 0.1976  6 O 1.84-2.02
V 0.7938 0.6784 0.6929  6 O 1.84-1.99
P 0.1384 0.9984 0.2823  4 O 1.49-1.62
P 0.1403 0.4460 0.7830  4 O 1.50-1.62
P 0.3168 0.9094 0.1000  4 O 1.50-1.62
P 0.3188 0.3583 0.5991  4 O 1.50-1.61
P 0.4580 0.7666 0.5953  4 O 1.48-1.61
P 0.4609 0.3595 0.0957  4 O 1.48-1.62
P 0.5417 0.4494 0.2821  4 O 1.48-1.61
P 0.5416 0.5943 0.7823  4 O 1.48-1.62
P 0.5584 0.0094 0.3142  4 O 1.50-1.60
P 0.5601 0.0146 0.8145  4 O 1.49-1.60
P 0.8974 0.3403 0.0682  4 O 1.48-1.61
P 0.8969 0.3454 0.5662  4 O 1.49-1.61
P 0.9102 0.7666 0.1004  4 O 1.50-1.61
P 0.9113 0.9070 0.5989  4 O 1.48-1.62
P 0.9947 0.9963 0.7849  4 O 1.50-1.61
P 0.9964 0.5906 0.2848  4 O 1.48-1.63
O 0.0134 0.8843 0.6955  2 P 1.61-1.62
O 0.0188 0.6791 0.1920  2 P 1.61-1.63
O 0.0421 0.3509 0.1078  1 P 1.57
O 0.0478 0.1923 0.6095  1 P 1.61
O 0.1283 0.1574 0.2645  1 P 1.53
O 0.1283 0.2979 0.7668  1 P 1.53
O 0.1430 0.0122 0.7836  1 P 1.54
O 0.1436 0.4235 0.2795  1 P 1.55
O 0.2263 0.4345 0.5100  1 P 1.50
O 0.2255 0.9189 0.3722  1 P 1.49
O 0.2281 0.4673 0.6905  2 P 1.61-1.62
O 0.2279 0.8862 0.1911  2 P 1.62
O 0.2302 0.4356 0.8729  1 P 1.50
O 0.2297 0.9180 0.0098  1 P 1.50
O 0.3077 0.9319 0.5992  1 P 1.55
O 0.3129 0.3402 0.1016  1 P 1.55
O 0.3254 0.0599 0.1172  1 P 1.54
O 0.3394 0.1916 0.6148  1 P 1.56
O 0.4112 0.0095 0.7722  1 P 1.60
O 0.4134 0.1632 0.2759  1 P 1.56
O 0.4404 0.4720 0.1859  2 P 1.61-1.62
O 0.4407 0.6738 0.6858  2 P 1.61-1.62
O 0.4595 0.4390 0.3686  1 P 1.48
O 0.4596 0.6880 0.8683  1 P 1.48
O 0.4703 0.6826 0.5044  1 P 1.48
O 0.4724 0.4287 0.0036  1 P 1.48
O 0.4842 0.3398 0.6007  1 P 1.54
O 0.4846 0.7643 0.1065  1 P 1.55
O 0.5563 0.1654 0.7728  1 P 1.57
O 0.5574 0.0129 0.9218  1 P 1.49
O 0.5587 0.8601 0.2744  1 P 1.56
O 0.5622 0.0100 0.4219  1 P 1.50
O 0.5646 0.4266 0.7812  1 P 1.54
O 0.5669 0.5938 0.2801  1 P 1.55
O 0.6007 0.7914 0.6159  1 P 1.56
O 0.6114 0.1997 0.1204  1 P 1.56
O 0.7033 0.5857 0.7635  1 P 1.56
O 0.7051 0.2963 0.2654  1 P 1.57
O 0.7093 0.0099 0.2697  1 P 1.60
O 0.7138 0.8652 0.7748  1 P 1.59
O 0.7438 0.0511 0.6146  1 P 1.56
O 0.7464 0.4914 0.1144  1 P 1.61
O 0.7491 0.7748 0.1178  1 P 1.56
O 0.7520 0.3435 0.6121  1 P 1.56
O 0.8442 0.1554 0.7665  1 P 1.54
O 0.8451 0.5824 0.2617  1 P 1.56
O 0.8891 0.9335 0.1014  1 P 1.54
O 0.8917 0.7584 0.6004  1 P 1.56
O 0.8935 0.3446 0.9615  1 P 1.48
O 0.8976 0.1913 0.1106  1 P 1.57
O 0.9003 0.4930 0.6064  1 P 1.57
O 0.9034 0.3375 0.4594  1 P 1.49
O 0.9709 0.0189 0.2758  1 P 1.55
O 0.9762 0.5963 0.7827  1 P 1.55
O 0.9833 0.9193 0.8759  1 P 1.50
O 0.9863 0.6719 0.3762  1 P 1.48
O 0.9860 0.6784 0.0094  1 P 1.50
O 0.9965 0.9165 0.5138  1 P 1.48


# 3
VASP calculation (PBE with a Hubbard U) on Li7V3P8O29 after structural relaxation.

Computed properties:
E above lowest polymorph: 22 meV per atom

Lattice parameters (Å, degrees): 9.7979 9.8211 13.8840 89.46 89.54 60.49
Last column: nearest neighbours and their distance in Å.
Positions (direct):
Li 0.0000 0.0000 0.0000  4 O 2.01-2.23
Li 0.0016 0.4344 0.5020  4 O 1.96-2.13
Li 0.1419 0.4300 0.0026  4 O 1.98-2.12
Li 0.2300 0.5311 0.3800  3 O 1.93-2.01
Li 0.2351 0.6701 0.8758  4 O 1.98-2.09
Li 0.2385 0.0798 0.3291  1 O 1.88
Li 0.5656 0.4504 0.5530  2 O 1.88-2.11
Li 0.5688 0.8607 0.0058  4 O 1.99-2.11
Li 0.5797 0.9980 0.5022  3 O 1.92-2.00
Li 0.6659 0.0959 0.8793  4 O 1.96-2.13
Li 0.8030 0.5276 0.8824  4 O 2.02-2.23
Li 0.8061 0.0938 0.3795  4 O 1.95-2.13
Li 0.9052 0.7578 0.9411  6 O 2.31-2.43
Li 0.9050 0.7610 0.4405  3 O 2.17-2.39
V 0.3395 0.7676 0.6883  6 O 1.98-2.08
V 0.3410 0.3289 0.1890  6 O 1.90-2.02
V 0.4650 0.2015 0.6931  6 O 1.89-2.03
V 0.4669 0.7626 0.1940  6 O 1.97-2.08
V 0.9025 0.2024 0.1915  6 O 1.91-2.03
V 0.9035 0.3273 0.6898  6 O 1.91-2.03
P 0.1176 0.8510 0.2830  4 O 1.50-1.62
P 0.1277 0.4512 0.7841  4 O 1.52-1.61
P 0.2147 0.6812 0.0940  4 O 1.52-1.61
P 0.2209 0.5394 0.5985  4 O 1.51-1.62
P 0.2345 0.1042 0.5695  4 O 1.50-1.59
P 0.2358 0.1008 0.0698  4 O 1.49-1.59
P 0.5708 0.4292 0.8124  4 O 1.49-1.60
P 0.5715 0.4268 0.3122  4 O 1.50-1.59
P 0.5842 0.9915 0.2840  4 O 1.51-1.62
P 0.5926 0.8477 0.7875  4 O 1.52-1.61
P 0.6771 0.0783 0.0978  4 O 1.52-1.61
P 0.6888 0.6779 0.5984  4 O 1.51-1.62
P 0.8120 0.0796 0.5958  4 O 1.50-1.61
P 0.8188 0.5410 0.1002  4 O 1.52-1.62
P 0.9875 0.9895 0.7819  4 O 1.52-1.62
P 0.9950 0.4498 0.2861  4 O 1.50-1.61
O 0.0084 0.2857 0.2721  1 P 1.57
O 0.0867 0.2564 0.6100  1 P 1.59
O 0.0888 0.0939 0.1142  1 P 1.59
O 0.1013 0.7545 0.3624  1 P 1.50
O 0.1023 0.7763 0.1828  2 P 1.61-1.62
O 0.1104 0.5547 0.6898  2 P 1.61-1.62
O 0.1222 0.7647 0.0034  1 P 1.53
O 0.1245 0.5433 0.8725  1 P 1.52
O 0.1394 0.5261 0.5096  1 P 1.52
O 0.1509 0.8473 0.7832  1 P 1.52
O 0.1627 0.4268 0.2818  1 P 1.54
O 0.2238 0.1112 0.9625  1 P 1.49
O 0.2280 0.2552 0.1114  1 P 1.59
O 0.2322 0.9616 0.6107  1 P 1.52
O 0.2355 0.5146 0.0984  1 P 1.55
O 0.2362 0.1190 0.4617  1 P 1.50
O 0.2420 0.6815 0.5976  1 P 1.51
O 0.2677 0.8641 0.2806  1 P 1.54
O 0.2820 0.2952 0.7748  1 P 1.54
O 0.3699 0.6788 0.1041  1 P 1.52
O 0.3850 0.3910 0.6141  1 P 1.56
O 0.3857 0.1048 0.6104  1 P 1.59
O 0.3871 0.9583 0.1088  1 P 1.55
O 0.4181 0.5718 0.7751  1 P 1.55
O 0.4203 0.4272 0.2706  1 P 1.59
O 0.4206 0.1404 0.2684  1 P 1.56
O 0.4367 0.8514 0.7774  1 P 1.52
O 0.5228 0.2343 0.1066  1 P 1.54
O 0.5387 0.6648 0.6013  1 P 1.54
O 0.5617 0.8501 0.2857  1 P 1.51
O 0.5665 0.4146 0.4200  1 P 1.50
O 0.5722 0.0142 0.7828  1 P 1.55
O 0.5754 0.5686 0.2706  1 P 1.52
O 0.5766 0.2750 0.7718  1 P 1.60
O 0.5889 0.4184 0.9194  1 P 1.49
O 0.6440 0.1033 0.6005  1 P 1.55
O 0.6554 0.6834 0.0992  1 P 1.52
O 0.6665 0.0048 0.3724  1 P 1.52
O 0.6807 0.9860 0.0095  1 P 1.52
O 0.6844 0.7640 0.8782  1 P 1.53
O 0.6943 0.9750 0.1921  2 P 1.61-1.62
O 0.7048 0.7519 0.6988  2 P 1.61-1.62
O 0.7048 0.7750 0.5192  1 P 1.51
O 0.7158 0.4366 0.7652  1 P 1.59
O 0.7197 0.2739 0.2729  1 P 1.59
O 0.7985 0.2438 0.6093  1 P 1.56
O 0.8172 0.3851 0.1118  1 P 1.55
O 0.8212 0.1019 0.0977  1 P 1.54
O 0.8309 0.5090 0.5981  1 P 1.55
O 0.8917 0.9982 0.5047  1 P 1.50
O 0.8955 0.9904 0.8712  1 P 1.52
O 0.9007 0.9728 0.6879  2 P 1.61-1.62
O 0.9066 0.5569 0.1939  2 P 1.61-1.62
O 0.9106 0.5401 0.0107  1 P 1.53
O 0.9149 0.5313 0.3771  1 P 1.50
O 0.9757 0.0203 0.2826  1 P 1.56
O 0.9834 0.4282 0.7845  1 P 1.54
O 0.9886 0.1456 0.7704  1 P 1.55


# 4
VASP calculation (PBE with a Hubbard U) on Li7V3P8O29 after structural relaxation.

Computed properties:
E above lowest polymorph: 5 meV per atom

Lattice parameters (Å, degrees): 9.8619 9.8681 13.9577 89.85 89.62 60.27
Last column: nearest neighbours and their distance in Å.
Positions (direct):
Li 0.0000 0.0000 0.0000  3 O 1.95-2.00
Li 0.0018 0.5473 0.4940  4 O 1.98-2.11
Li 0.1331 0.4022 0.0020  3 O 1.95-2.02
Li 0.1346 0.9953 0.4968  4 O 1.98-2.19
Li 0.2253 0.0861 0.1223  3 O 1.93-2.01
Li 0.2297 0.2266 0.6177  3 O 1.95-2.02
Li 0.2508 0.6441 0.6715  1 O 1.84
Li 0.5778 0.9778 0.9456  1 O 1.87
Li 0.5831 0.9705 0.4440  2 O 1.88-2.11
Li 0.5906 0.5393 0.0003  3 O 1.95-2.04
Li 0.6866 0.2250 0.1266  4 O 1.97-2.19
Li 0.8173 0.0858 0.6204  4 O 1.91-2.13
Li 0.8225 0.3823 0.5657  2 O 1.83-1.95
Li 0.8234 0.6268 0.1237  4 O 1.97-2.19
V 0.3471 0.3143 0.8089  6 O 1.87-2.04
V 0.3466 0.8768 0.3122  6 O 1.90-2.04
V 0.4783 0.3201 0.3120  6 O 1.87-2.05
V 0.4806 0.7485 0.8049  6 O 1.86-2.04
V 0.9101 0.8814 0.8080  6 O 2.00-2.08
V 0.9112 0.7476 0.3074  6 O 1.95-2.08
P 0.0019 0.9930 0.2173  4 O 1.51-1.63
P 0.0030 0.5405 0.7136  4 O 1.50-1.62
P 0.1430 0.9951 0.7162  4 O 1.51-1.61
P 0.1475 0.3971 0.2171  4 O 1.51-1.62
P 0.2300 0.2240 0.4019  4 O 1.51-1.61
P 0.2337 0.0819 0.9020  4 O 1.50-1.61
P 0.2437 0.6490 0.4326  4 O 1.50-1.61
P 0.2490 0.6473 0.9312  4 O 1.48-1.62
P 0.5716 0.9869 0.6838  4 O 1.50-1.59
P 0.5757 0.9822 0.1867  4 O 1.51-1.60
P 0.5904 0.5492 0.2168  4 O 1.51-1.60
P 0.6000 0.4027 0.7203  4 O 1.50-1.62
P 0.6769 0.2250 0.9059  4 O 1.50-1.60
P 0.6852 0.6246 0.4019  4 O 1.48-1.62
P 0.8166 0.0883 0.4006  4 O 1.52-1.60
P 0.8200 0.6354 0.8998  4 O 1.51-1.61
O 0.0008 0.5570 0.2147  1 P 1.52
O 0.0178 0.8331 0.2317  1 P 1.52
O 0.0226 0.6853 0.7250  1 P 1.54
O 0.0953 0.6468 0.3988  1 P 1.55
O 0.0981 0.7932 0.8959  1 P 1.55
O 0.1273 0.3066 0.3082  2 P 1.61-1.62
O 0.1295 0.0970 0.8097  2 P 1.61
O 0.1426 0.3181 0.4891  1 P 1.51
O 0.1545 0.0677 0.9908  1 P 1.50
O 0.1555 0.0768 0.6278  1 P 1.51
O 0.1622 0.9850 0.2207  1 P 1.54
O 0.1672 0.3038 0.1275  1 P 1.51
O 0.1669 0.3922 0.7194  1 P 1.55
O 0.2392 0.8043 0.3922  1 P 1.61
O 0.2435 0.2334 0.9022  1 P 1.55
O 0.2454 0.0608 0.4048  1 P 1.54
O 0.2452 0.6587 0.5401  1 P 1.50
O 0.2554 0.4950 0.8839  1 P 1.62
O 0.2649 0.6271 0.0366  1 P 1.48
O 0.2857 0.8296 0.7300  1 P 1.55
O 0.2959 0.4068 0.2391  1 P 1.55
O 0.3903 0.5086 0.3888  1 P 1.55
O 0.3939 0.2053 0.3889  1 P 1.54
O 0.3944 0.6536 0.8864  1 P 1.59
O 0.3990 0.9400 0.8868  1 P 1.55
O 0.4232 0.1347 0.7282  1 P 1.59
O 0.4275 0.9814 0.2332  1 P 1.60
O 0.4304 0.6949 0.2348  1 P 1.54
O 0.4383 0.4106 0.7251  1 P 1.56
O 0.5357 0.7893 0.3916  1 P 1.57
O 0.5378 0.1967 0.8850  1 P 1.56
O 0.5523 0.9933 0.5774  1 P 1.50
O 0.5592 0.9882 0.0791  1 P 1.51
O 0.5684 0.8416 0.7295  1 P 1.58
O 0.5729 0.5690 0.7198  1 P 1.53
O 0.5765 0.3996 0.2194  1 P 1.55
O 0.5812 0.1289 0.2243  1 P 1.57
O 0.6521 0.2349 0.3941  1 P 1.55
O 0.6538 0.3164 0.9964  1 P 1.50
O 0.6598 0.6428 0.8999  1 P 1.55
O 0.6657 0.5599 0.1250  1 P 1.51
O 0.6828 0.5293 0.4834  1 P 1.48
O 0.6893 0.3250 0.8192  2 P 1.60-1.62
O 0.7043 0.5310 0.3027  2 P 1.60-1.62
O 0.7047 0.3064 0.6397  1 P 1.50
O 0.7215 0.9866 0.7160  1 P 1.55
O 0.7232 0.8291 0.2194  1 P 1.56
O 0.7909 0.8032 0.8845  1 P 1.55
O 0.7969 0.9438 0.3939  1 P 1.53
O 0.8284 0.0666 0.9043  1 P 1.54
O 0.8280 0.6483 0.4014  1 P 1.54
O 0.9022 0.0930 0.4894  1 P 1.52
O 0.9082 0.1014 0.3092  2 P 1.60-1.63
O 0.9113 0.5309 0.8079  2 P 1.61-1.62
O 0.9122 0.0766 0.1284  1 P 1.51
O 0.9127 0.5584 0.9887  1 P 1.51
O 0.9214 0.5331 0.6250  1 P 1.50
O 0.9931 0.9844 0.7156  1 P 1.53


Final energy per entry: -6.985, -7.027, -6.977, -6.994 eV per atom
Energy relative to the elements per entry: -2.678, -2.614, -2.671, -2.688 eV per atom